No. 1
A plane-wave DFT calculation with PBE was carried out for CuReO4 after structural relaxation.

```
CuReO4
1.0
-3.2196 -5.6289 4.3426
-7.4946 -5.2025 -5.3039
5.1100 -9.1696 -1.0741
Cu Re O
8 8 32
Cartesian
-7.3789 -8.0004 -0.9003
-0.8680 -8.0144 0.3934
-8.7946 -12.8746 -1.2490
-3.5309 -9.9479 -4.0334
1.3410 -12.7254 -0.5558
2.7323 -7.9152 -0.2538
-2.2245 -13.6454 -0.8904
-5.3935 -9.9173 1.6095
-3.8998 -7.1967 -1.6520
-1.8723 -11.1318 1.7421
-0.2792 -4.4747 1.0615
-4.3351 -6.5160 2.3892
-5.3644 -15.5635 -3.0642
-5.3513 -11.7172 -1.5786
-1.2759 -13.5266 -4.4076
-0.1046 -10.0406 -2.5447
-1.7418 -10.4697 -3.0363
-2.7533 -12.8916 -5.1356
-4.3980 -5.3033 1.0929
-3.1300 -18.1038 -0.5005
-2.4126 -15.1226 0.3731
0.6782 -11.4391 -1.8038
-3.5077 -5.4962 -1.9871
-3.6101 -8.1443 -3.1126
-0.1818 -8.7181 -1.3758
-2.8459 -7.7823 -0.3664
1.1013 -3.7211 0.2362
-5.4645 -14.0622 -4.0105
-5.5904 -7.3658 -1.1708
-6.0847 -5.9743 -3.9627
-1.7546 -12.0246 0.2225
3.0990 -9.4511 -1.6339
1.4160 -11.6704 1.3013
-3.5734 -10.8484 2.1074
-6.9996 -12.3453 -1.6448
-2.6492 -6.7685 2.8474
-4.8877 -11.0261 -3.1487
-6.2154 -15.3933 -1.5263
-5.0302 -8.0465 1.8484
-1.0550 -9.5637 1.5600
-1.7650 -3.7366 0.4576
-5.2534 -10.4565 -0.3470
2.0943 -6.4448 -1.3070
-7.6427 -9.3776 -2.5116
-0.3154 -6.2125 0.7493
-1.4648 -13.5958 -2.6533
-3.6658 -15.9327 -2.7553
-4.2261 -13.0118 -1.1695
```

Properties
**Total DFT energy (no corrections)**: -44.21 eV/f.u.
**Crystal system**: triclinic
**Space-group type**: P1
**Energy of formation from the pure elements**: -10.62 eV per formula unit
**V**: 15.63 Å³ per atom

---

No. 2
A plane-wave DFT calculation with PBE was carried out for Zr3Cu4Si4 after structural relaxation.

```
Zr3Cu4Si4
1.0
-1.9729 3.2081 6.5660
1.9729 -3.2081 6.5660
1.9729 3.2081 -6.5660
Zr Cu Si
3 4 4
Cartesian
0.0000 0.0000 11.5002
0.0000 0.0000 1.6318
0.0000 3.2081 0.0000
0.0000 1.2315 4.3389
0.0000 1.2315 8.7931
1.9729 1.9766 -2.2271
1.9729 1.9766 2.2271
0.0000 1.9846 6.5660
1.9729 1.2235 0.0000
1.9729 0.0000 3.7294
0.0000 3.2081 2.8366
```

Properties
**Total DFT energy (no corrections)**: -70.17 eV/f.u.
**Crystal system**: orthorhombic
**Space-group type**: Immm
**Energy of formation from the pure elements**: -6.14 eV per formula unit
**V**: 15.11 Å³ per atom

---

No. 3
A plane-wave DFT calculation with PBE was carried out for Li3Nb4ZnO12 after structural relaxation.

```
Li3Nb4ZnO12
1.0
5.2429 0.0000 0.0000
-0.0076 5.6083 0.0000
-0.0100 -0.7098 7.6470
Li Nb Zn O
3 4 1 12
Cartesian
2.6070 4.7362 5.9634
2.6177 5.0972 2.1228
5.2297 1.9122 5.9675
2.6209 2.1397 7.5619
2.6066 2.5619 3.8100
5.2311 -0.2435 3.7914
0.0158 -0.6939 7.5745
5.2281 2.3012 2.1020
4.2742 1.5399 4.1564
3.3062 2.8469 1.8053
3.5614 4.3406 4.1510
4.6004 0.0677 1.8068
4.2048 3.3882 7.0284
1.6698 4.7191 0.3291
3.6248 0.5948 7.0242
0.6516 -0.3085 5.6431
0.9219 1.9454 0.3565
1.9518 2.4927 5.6437
1.5892 0.9428 3.2015
0.9798 3.7117 3.1643
```

Properties
**Total DFT energy (no corrections)**: -153.72 eV/f.u.
**Crystal system**: triclinic
**Space-group type**: P1
**Energy of formation from the pure elements**: -55.20 eV per formula unit
**V**: 11.24 Å³ per atom